Record 1
Computed, not measured: a geometry-optimized Na2ScHgF6 structure at the GGA-PBE level of DFT.

```
Na2ScHgF6
1.0
2.267 -5.679 -1.865
-2.811 -5.379 2.006
-3.341 -3.584 -4.106
F Sc Na Hg
6 1 2 1
direct
0.776 0.776 0.224 F
0.776 0.224 0.776 F
0.776 0.224 0.224 F
0.224 0.224 0.776 F
0.224 0.776 0.224 F
0.224 0.776 0.776 F
0.000 0.000 0.000 Sc
0.750 0.750 0.750 Na
0.250 0.250 0.250 Na
0.500 0.500 0.500 Hg
```

Final energy = -4.70 eV/atom
Magnetic moment = 0.73 μB/f.u.
Calculated formation energy = -2898 meV/atom
Total energy after the MP2020 corrections = -0.1828 Ha/atom

Record 2
Computed, not measured: a geometry-optimized Na2TiHgF6 structure at the GGA-PBE level of DFT.

```
Na2TiHgF6
1.0
5.847 -1.681 2.775
1.001 0.975 6.539
0.351 -5.234 4.146
Na Hg Ti F
2 1 1 6
direct
0.250 0.250 0.250 Na
0.750 0.750 0.750 Na
0.500 0.500 0.500 Hg
0.000 0.000 0.000 Ti
0.200 0.800 0.200 F
0.200 0.800 0.800 F
0.800 0.200 0.200 F
0.800 0.800 0.200 F
0.200 0.200 0.800 F
0.800 0.200 0.800 F
```

Final energy = -4.80 eV/atom
Magnetic moment = 0.00 μB/f.u.
Calculated formation energy = -2844 meV/atom
Total energy after the MP2020 corrections = -0.1866 Ha/atom

Record 3
Computed, not measured: a geometry-optimized Na2TlHgF6 structure at the GGA-PBE level of DFT.

```
Na2TlHgF6
1.0
2.143 -3.387 5.134
0.636 2.915 5.789
-4.079 -1.481 4.857
F Na Tl Hg
6 2 1 1
direct
0.249 0.249 0.751 F
0.249 0.751 0.249 F
0.751 0.249 0.751 F
0.249 0.751 0.751 F
0.751 0.249 0.249 F
0.751 0.751 0.249 F
0.750 0.750 0.750 Na
0.250 0.250 0.250 Na
0.000 0.000 0.000 Tl
0.500 0.500 0.500 Hg
```

Final energy = -3.52 eV/atom
Magnetic moment = 0.00 μB/f.u.
Calculated formation energy = -2117 meV/atom
Total energy after the MP2020 corrections = -0.1395 Ha/atom

Record 4
Computed, not measured: a geometry-optimized Na2YHgF6 structure at the GGA-PBE level of DFT.

```
Na2YHgF6
1.0
5.991 0.489 2.802
0.919 4.040 5.179
1.054 -2.535 6.037
Y Na F Hg
1 2 6 1
direct
0.000 0.000 0.000 Y
0.750 0.750 0.750 Na
0.250 0.250 0.250 Na
0.768 0.232 0.768 F
0.232 0.768 0.768 F
0.768 0.232 0.232 F
0.232 0.232 0.768 F
0.232 0.768 0.232 F
0.768 0.768 0.232 F
0.500 0.500 0.500 Hg
```

Final energy = -4.69 eV/atom
Magnetic moment = 0.82 μB/f.u.
Calculated formation energy = -2881 meV/atom
Total energy after the MP2020 corrections = -0.1827 Ha/atom

Record 5
Computed, not measured: a geometry-optimized NbHg2F6 structure at the GGA-PBE level of DFT.

```
NbHg2F6
1.0
5.339 5.325 0.000
-5.339 5.325 0.000
0.000 5.117 6.143
F Nb Hg
12 2 4
direct
0.555 0.805 0.254 F
0.445 0.195 0.746 F
0.193 0.807 0.250 F
0.443 0.557 0.750 F
0.807 0.193 0.750 F
0.557 0.443 0.250 F
0.781 0.529 0.436 F
0.529 0.781 0.936 F
0.805 0.555 0.754 F
0.219 0.471 0.564 F
0.195 0.445 0.246 F
0.471 0.219 0.064 F
0.375 0.625 0.250 Nb
0.625 0.375 0.750 Nb
0.000 0.000 0.000 Hg
0.000 0.000 0.500 Hg
0.000 0.500 0.000 Hg
0.500 0.000 0.500 Hg
```

Final energy = -4.63 eV/atom
Magnetic moment = 0.00 μB/f.u.
Calculated formation energy = -2475 meV/atom
Total energy after the MP2020 corrections = -0.1816 Ha/atom

Record 6
Computed, not measured: a geometry-optimized Hg2PO3F structure at the GGA-PBE level of DFT.

```
Hg2PO3F
1.0
-4.426 4.808 6.227
4.426 -4.808 6.227
4.426 4.808 -6.227
Hg O F P
8 12 4 4
direct
0.102 0.176 0.482 Hg
0.306 0.324 0.426 Hg
0.306 0.881 0.982 Hg
0.694 0.119 0.018 Hg
0.898 0.381 0.074 Hg
0.102 0.619 0.926 Hg
0.898 0.824 0.518 Hg
0.694 0.676 0.574 Hg
0.126 0.117 0.718 O
0.399 0.617 0.491 O
0.228 0.169 0.059 O
0.874 0.592 0.991 O
0.399 0.908 0.782 O
0.601 0.092 0.218 O
0.126 0.408 0.009 O
0.601 0.383 0.509 O
0.890 0.331 0.559 O
0.772 0.831 0.941 O
0.110 0.669 0.441 O
0.874 0.883 0.282 O
0.663 0.130 0.533 F
0.403 0.370 0.033 F
0.597 0.630 0.967 F
0.337 0.870 0.467 F
0.307 0.758 0.549 P
0.210 0.258 0.951 P
0.693 0.242 0.451 P
0.790 0.742 0.049 P
```

Final energy = -4.78 eV/atom
Magnetic moment = 0.00 μB/f.u.
Calculated formation energy = -1891 meV/atom
Total energy after the MP2020 corrections = -0.1891 Ha/atom

Record 7
Computed, not measured: a geometry-optimized SiHg2O4F6 structure at the GGA-PBE level of DFT.

```
SiHg2O4F6
1.0
5.064 0.000 0.000
-0.161 5.366 0.000
-0.981 -2.347 6.605
O F Hg Si
4 6 2 1
direct
0.578 0.729 0.847 O
0.422 0.271 0.153 O
0.605 0.288 0.046 O
0.395 0.712 0.954 O
0.107 0.790 0.290 F
0.319 0.136 0.601 F
0.047 0.767 0.621 F
0.681 0.864 0.399 F
0.893 0.210 0.710 F
0.953 0.233 0.379 F
0.000 0.000 0.000 Hg
0.500 0.500 0.500 Hg
0.000 0.000 0.500 Si
```

Final energy = -4.31 eV/atom
Magnetic moment = 2.00 μB/f.u.
Calculated formation energy = -1707 meV/atom
Total energy after the MP2020 corrections = -0.1682 Ha/atom

Record 8
Computed, not measured: a geometry-optimized SiHg2O4F6 structure at the GGA-PBE level of DFT.

```
SiHg2O4F6
1.0
1.720 -3.900 -3.046
2.036 -2.017 4.277
-8.159 0.687 0.349
F Si O Hg
6 1 4 2
direct
0.705 0.519 0.386 F
0.295 0.481 0.614 F
0.794 0.479 0.689 F
0.606 0.875 0.637 F
0.394 0.125 0.363 F
0.206 0.521 0.311 F
0.500 0.500 0.500 Si
0.235 0.142 0.849 O
0.503 0.310 0.958 O
0.765 0.858 0.151 O
0.497 0.690 0.042 O
0.000 0.000 0.500 Hg
0.000 0.000 0.000 Hg
```

Final energy = -4.33 eV/atom
Magnetic moment = 0.00 μB/f.u.
Calculated formation energy = -1723 meV/atom
Total energy after the MP2020 corrections = -0.1688 Ha/atom

Record 9
Computed, not measured: a geometry-optimized HgTe2O2F10 structure at the GGA-PBE level of DFT.

```
HgTe2O2F10
1.0
4.550 9.729 0.000
-4.550 9.729 0.000
0.000 0.789 5.981
F Hg Te O
20 2 4 4
direct
0.582 0.074 0.908 F
0.418 0.926 0.092 F
0.161 0.980 0.950 F
0.850 0.325 0.065 F
0.980 0.161 0.450 F
0.915 0.703 0.789 F
0.703 0.915 0.289 F
0.020 0.839 0.550 F
0.926 0.418 0.592 F
0.150 0.675 0.935 F
0.207 0.418 0.795 F
0.325 0.850 0.565 F
0.582 0.793 0.705 F
0.793 0.582 0.205 F
0.074 0.582 0.408 F
0.085 0.297 0.211 F
0.839 0.020 0.050 F
0.297 0.085 0.711 F
0.675 0.150 0.435 F
0.418 0.207 0.295 F
0.373 0.627 0.250 Hg
0.627 0.373 0.750 Hg
0.881 0.375 0.334 Te
0.625 0.119 0.166 Te
0.375 0.881 0.834 Te
0.119 0.625 0.666 Te
0.329 0.546 0.551 O
0.454 0.671 0.949 O
0.546 0.329 0.051 O
0.671 0.454 0.449 O
```

Final energy = -4.08 eV/atom
Magnetic moment = 0.00 μB/f.u.
Calculated formation energy = -2107 meV/atom
Total energy after the MP2020 corrections = -0.1647 Ha/atom

Record 10
Computed, not measured: a geometry-optimized Hg2Te4Xe3O4F26 structure at the GGA-PBE level of DFT.

```
Hg2Te4Xe3O4F26
1.0
18.606 0.000 0.000
0.000 9.419 0.000
0.000 5.485 8.655
F Hg O Te Xe
52 4 8 8 6
direct
0.352 0.861 0.787 F
0.292 0.477 0.000 F
0.944 0.381 0.523 F
0.798 0.780 0.135 F
0.199 0.467 0.245 F
0.552 0.801 0.792 F
0.957 0.660 0.780 F
0.052 0.199 0.708 F
0.040 0.039 0.105 F
0.043 0.340 0.220 F
0.056 0.619 0.477 F
0.441 0.730 0.685 F
0.960 0.961 0.895 F
0.394 0.843 0.275 F
0.803 0.770 0.881 F
0.540 0.961 0.395 F
0.322 0.497 0.350 F
0.559 0.270 0.315 F
0.708 0.523 0.000 F
0.948 0.801 0.292 F
0.727 0.143 0.960 F
0.678 0.503 0.650 F
0.202 0.220 0.865 F
0.822 0.503 0.150 F
0.106 0.843 0.775 F
0.178 0.497 0.850 F
0.556 0.381 0.023 F
0.648 0.139 0.213 F
0.699 0.533 0.255 F
0.543 0.660 0.280 F
0.697 0.770 0.381 F
0.773 0.143 0.460 F
0.792 0.523 0.500 F
0.606 0.157 0.725 F
0.702 0.780 0.635 F
0.298 0.220 0.365 F
0.460 0.039 0.605 F
0.801 0.533 0.755 F
0.227 0.857 0.540 F
0.148 0.861 0.287 F
0.941 0.270 0.815 F
0.208 0.477 0.500 F
0.457 0.340 0.720 F
0.301 0.467 0.745 F
0.852 0.139 0.713 F
0.197 0.230 0.119 F
0.059 0.730 0.185 F
0.894 0.157 0.225 F
0.273 0.857 0.040 F
0.448 0.199 0.208 F
0.303 0.230 0.619 F
0.444 0.619 0.977 F
0.607 0.937 0.042 Hg
0.107 0.063 0.458 Hg
0.893 0.937 0.542 Hg
0.393 0.063 0.958 Hg
0.031 0.934 0.412 O
0.969 0.066 0.588 O
0.675 0.822 0.965 O
0.825 0.822 0.465 O
0.175 0.178 0.535 O
0.531 0.066 0.088 O
0.469 0.934 0.912 O
0.325 0.178 0.035 O
0.253 0.338 0.937 Te
0.247 0.338 0.437 Te
0.547 0.166 0.202 Te
0.953 0.166 0.702 Te
0.453 0.834 0.798 Te
0.747 0.662 0.063 Te
0.047 0.834 0.298 Te
0.753 0.662 0.563 Te
0.810 0.151 0.093 Xe
0.500 0.500 0.500 Xe
0.000 0.500 0.000 Xe
0.310 0.849 0.407 Xe
0.690 0.151 0.593 Xe
0.190 0.849 0.907 Xe
```

Final energy = -3.55 eV/atom
Magnetic moment = 0.00 μB/f.u.
Calculated formation energy = -1806 meV/atom
Total energy after the MP2020 corrections = -0.1445 Ha/atom

Record 11
Computed, not measured: a geometry-optimized Zn2Hg2OF6 structure at the GGA-PBE level of DFT.

```
Zn2Hg2OF6
1.0
7.414 0.227 1.224
2.700 -1.071 6.934
3.733 -6.315 1.647
F Zn Hg O
12 4 4 2
direct
0.201 0.799 0.799 F
0.799 0.799 0.201 F
0.451 0.049 0.049 F
0.799 0.201 0.799 F
0.799 0.201 0.201 F
0.201 0.201 0.799 F
0.451 0.451 0.049 F
0.201 0.799 0.201 F
0.049 0.049 0.451 F
0.451 0.049 0.451 F
0.049 0.451 0.451 F
0.049 0.451 0.049 F
0.125 0.125 0.125 Zn
0.125 0.625 0.125 Zn
0.625 0.125 0.125 Zn
0.125 0.125 0.625 Zn
0.625 0.125 0.625 Hg
0.625 0.625 0.625 Hg
0.125 0.625 0.625 Hg
0.625 0.625 0.125 Hg
0.750 0.750 0.750 O
0.500 0.500 0.500 O
```

Final energy = -3.50 eV/atom
Magnetic moment = 0.00 μB/f.u.
Calculated formation energy = -2039 meV/atom
Total energy after the MP2020 corrections = -0.1403 Ha/atom

Record 12
Computed, not measured: a geometry-optimized HgPdF4 structure at the GGA-PBE level of DFT.

```
HgPdF4
1.0
5.573 0.000 0.000
0.000 5.574 0.000
0.000 0.052 5.637
F Pd Hg
8 2 2
direct
0.328 0.824 0.153 F
0.346 0.646 0.671 F
0.672 0.176 0.847 F
0.846 0.854 0.329 F
0.172 0.324 0.153 F
0.154 0.146 0.671 F
0.654 0.354 0.329 F
0.828 0.676 0.847 F
0.000 0.000 0.000 Pd
0.500 0.500 0.000 Pd
0.500 0.000 0.500 Hg
0.000 0.500 0.500 Hg
```

Final energy = -3.41 eV/atom
Magnetic moment = 2.00 μB/f.u.
Calculated formation energy = -1523 meV/atom
Total energy after the MP2020 corrections = -0.1365 Ha/atom

Record 13
Computed, not measured: a geometry-optimized Rb2HgPdF6 structure at the GGA-PBE level of DFT.

```
Rb2HgPdF6
1.0
-5.025 -3.916 0.161
-4.786 1.123 4.055
-5.646 1.969 -2.202
Rb F Hg Pd
2 6 1 1
direct
0.750 0.750 0.750 Rb
0.250 0.250 0.250 Rb
0.757 0.243 0.243 F
0.757 0.757 0.243 F
0.243 0.757 0.243 F
0.243 0.757 0.757 F
0.243 0.243 0.757 F
0.757 0.243 0.757 F
0.500 0.500 0.500 Hg
0.000 0.000 0.000 Pd
```

Final energy = -3.77 eV/atom
Magnetic moment = 1.88 μB/f.u.
Calculated formation energy = -2151 meV/atom
Total energy after the MP2020 corrections = -0.1486 Ha/atom

Record 14
Computed, not measured: a geometry-optimized Hg3PtF6 structure at the GGA-PBE level of DFT.

```
Hg3PtF6
1.0
-2.813 -4.892 1.205
-4.040 5.858 -0.805
2.191 2.252 -13.974
Hg F Pt
3 6 1
direct
0.500 0.500 0.000 Hg
0.000 0.000 0.500 Hg
0.000 0.500 0.000 Hg
0.352 0.203 0.099 F
0.891 0.804 0.103 F
0.648 0.797 0.901 F
0.909 0.972 0.620 F
0.109 0.196 0.897 F
0.091 0.028 0.380 F
0.000 0.000 0.000 Pt
```

Final energy = -2.85 eV/atom
Magnetic moment = 0.00 μB/f.u.
Calculated formation energy = -1285 meV/atom
Total energy after the MP2020 corrections = -0.1151 Ha/atom

Record 15
Computed, not measured: a geometry-optimized RbHgF3 structure at the GGA-PBE level of DFT.

```
RbHgF3
1.0
4.625 0.000 0.000
0.000 4.625 0.000
0.000 0.000 4.625
F Rb Hg
3 1 1
direct
0.500 0.000 0.500 F
0.500 0.500 0.000 F
0.000 0.500 0.500 F
0.000 0.000 0.000 Rb
0.500 0.500 0.500 Hg
```

Final energy = -3.36 eV/atom
Calculated formation energy = -2231 meV/atom
Total energy after the MP2020 corrections = -0.1336 Ha/atom

Record 16
Computed, not measured: a geometry-optimized Rb2HgF4 structure at the GGA-PBE level of DFT.

```
Rb2HgF4
1.0
-2.343 2.343 6.968
2.343 -2.343 6.968
2.343 2.343 -6.968
F Rb Hg
4 2 1
direct
0.163 0.163 0.000 F
0.837 0.837 0.000 F
0.500 0.000 0.500 F
0.000 0.500 0.500 F
0.359 0.359 0.000 Rb
0.641 0.641 0.000 Rb
0.000 0.000 0.000 Hg
```

Final energy = -3.58 eV/atom
Calculated formation energy = -2428 meV/atom
Total energy after the MP2020 corrections = -0.1413 Ha/atom

Record 17
Computed, not measured: a geometry-optimized Rb2HgRhF6 structure at the GGA-PBE level of DFT.

```
Rb2HgRhF6
1.0
0.000 4.515 4.515
4.515 0.000 4.515
4.515 4.515 0.000
F Rh Hg Rb
6 1 1 2
direct
0.773 0.227 0.773 F
0.227 0.773 0.773 F
0.773 0.773 0.227 F
0.227 0.773 0.227 F
0.773 0.227 0.227 F
0.227 0.227 0.773 F
0.000 0.000 0.000 Rh
0.500 0.500 0.500 Hg
0.250 0.250 0.250 Rb
0.750 0.750 0.750 Rb
```

Final energy = -4.03 eV/atom
Magnetic moment = 0.00 μB/f.u.
Calculated formation energy = -2193 meV/atom
Total energy after the MP2020 corrections = -0.1582 Ha/atom